Record 1
30
Lattice="5.800 0.000 0.000 -2.900 5.023 0.000 0.000 0.000 14.300" Properties=species:S:1:pos:R:3 comment="Ba3CoRu2O9 PBE with a Hubbard U relaxed" energy_corrected_mp2020_ev_per_atom=-7.12 formation_energy_kj_per_mol_fu=-2979 crystal_system=hexagonal pbc="T T T"
Ba 0.000 0.000 3.575
Ba 0.000 0.000 10.725
Ba 0.000 3.349 1.284
Ba 0.000 3.349 5.866
Ba 2.900 1.674 8.434
Ba 2.900 1.674 13.016
Co 0.000 0.000 0.000
Co 0.000 0.000 7.150
Ru 0.000 3.349 9.342
Ru 0.000 3.349 12.108
Ru 2.900 1.674 2.192
Ru 2.900 1.674 4.958
O -1.294 2.602 10.725
O 0.000 1.647 8.302
O 0.000 1.647 13.148
O -1.474 4.200 8.302
O -1.474 4.200 13.148
O 1.426 0.823 1.152
O 1.426 0.823 5.998
O 1.294 2.602 10.725
O 0.000 4.843 10.725
O 2.900 0.181 3.575
O 1.606 2.421 3.575
O 1.474 4.200 8.302
O 1.474 4.200 13.148
O 4.374 0.823 1.152
O 4.374 0.823 5.998
O 2.900 3.377 1.152
O 2.900 3.377 5.998
O 4.194 2.421 3.575


Record 2
22
Lattice="10.115 -3.114 0.000 10.115 3.114 0.000 -0.092 0.000 5.164" Properties=species:S:1:pos:R:3 comment="Nb2WO8 PBE with a Hubbard U relaxed" energy_corrected_mp2020_ev_per_atom=-9.15 formation_energy_kj_per_mol_fu=-2688 crystal_system=monoclinic pbc="T T T"
Nb 7.377 2.002 3.925
Nb 12.716 2.002 3.821
Nb 7.423 -2.002 1.343
Nb 12.762 -2.002 1.239
W 10.092 0.972 1.291
W 10.046 -0.972 3.873
O 3.212 0.511 2.950
O 8.953 2.109 0.438
O 6.261 0.774 4.439
O 11.231 2.109 2.144
O 3.258 -0.511 0.368
O 9.027 0.677 2.932
O 6.307 -0.774 1.857
O 11.066 0.677 4.814
O 9.072 -0.677 0.350
O 13.832 0.774 3.307
O 11.112 -0.677 2.232
O 16.880 0.511 4.796
O 8.907 -2.109 3.020
O 13.877 -0.774 0.725
O 11.186 -2.109 4.726
O 16.926 -0.511 2.214


Record 3
32
Lattice="3.019 0.000 0.000 -0.143 8.047 0.000 -1.067 -0.177 11.956" Properties=species:S:1:pos:R:3 comment="Li9Mn2Co5O16 PBE with a Hubbard U relaxed" relative_energy_ev_per_atom=0.0765 energy_corrected_mp2020_ev_per_atom=-6.48 formation_energy_kj_per_mol_fu=-5519 crystal_system=triclinic pbc="T T T"
Li 0.000 0.000 0.000
Li -0.533 -0.089 5.978
Li -0.071 4.024 0.000
Li -0.325 4.011 2.968
Li 0.801 1.903 7.483
Li 1.344 2.025 1.449
Li 0.466 5.845 10.506
Li 1.008 5.967 4.472
Li 2.134 3.859 8.988
Mn 1.073 1.937 4.471
Mn 0.736 5.933 7.485
Co -0.605 3.935 5.978
Co -0.403 7.974 2.966
Co 0.527 1.933 10.525
Co 1.283 5.937 1.431
Co 2.213 -0.104 8.989
O -0.775 1.776 9.063
O -0.050 6.043 0.111
O -0.232 1.865 2.998
O -0.569 5.858 6.022
O 1.039 -0.008 4.402
O 0.705 3.977 7.393
O 0.512 0.006 10.373
O 1.280 4.200 1.529
O 0.530 3.670 10.426
O 1.297 7.864 1.583
O 1.105 3.893 4.563
O 0.771 7.878 7.553
O 2.378 2.012 5.933
O 2.041 6.004 8.957
O 1.860 1.827 11.845
O 2.585 6.094 2.892


Record 4
10
Lattice="0.000 4.601 4.601 4.601 0.000 4.601 4.601 4.601 0.000" Properties=species:S:1:pos:R:3 comment="K3MoF6 PBE with a Hubbard U relaxed" energy_corrected_mp2020_ev_per_atom=-5.50 formation_energy_kj_per_mol_fu=-2831 crystal_system=cubic pbc="T T T"
K 0.000 0.000 0.000
K 2.300 2.300 2.300
K 6.901 6.901 6.901
Mo 4.601 4.601 4.601
F 4.601 4.601 2.507
F 4.601 2.507 4.601
F 6.695 4.601 4.601
F 2.507 4.601 4.601
F 4.601 6.695 4.601
F 4.601 4.601 6.695


Record 5
26
Lattice="5.201 0.000 0.000 -1.033 7.193 0.000 -1.839 -0.352 8.181" Properties=species:S:1:pos:R:3 comment="Na5V7O14 PBE with a Hubbard U relaxed" energy_corrected_mp2020_ev_per_atom=-7.74 formation_energy_kj_per_mol_fu=-5957 crystal_system=triclinic pbc="T T T"
Na 0.000 0.000 0.000
Na -0.148 3.882 4.646
Na -0.238 5.780 6.940
Na 2.566 1.060 1.240
Na 2.476 2.959 3.535
V -0.939 0.785 5.287
V -1.040 2.741 7.619
V 0.709 5.052 1.736
V 1.681 -0.176 4.090
V 1.619 1.788 6.445
V 3.368 4.100 0.562
V 3.267 6.055 2.893
O -1.075 4.243 2.401
O -1.972 4.541 8.085
O -0.955 6.201 4.723
O -0.169 6.850 2.246
O -0.115 0.908 7.153
O 0.796 1.613 4.605
O 1.683 3.262 1.223
O 0.646 3.578 6.958
O 1.532 5.227 3.576
O 2.443 5.932 1.028
O 2.497 -0.009 5.934
O 3.283 0.639 3.458
O 4.300 2.300 0.096
O 3.403 2.598 5.779


Record 6
7
Lattice="-1.962 2.114 4.894 1.962 -2.114 4.894 1.962 2.114 -4.894" Properties=species:S:1:pos:R:3 comment="MgTiMnO4 PBE with a Hubbard U relaxed" relative_energy_ev_per_atom=0.1363 energy_corrected_mp2020_ev_per_atom=-8.25 formation_energy_kj_per_mol_fu=-1861 crystal_system=orthorhombic pbc="T T T"
Mg 0.000 0.000 0.000
Ti 0.000 0.000 5.732
Mn 1.962 0.000 3.009
O 1.962 0.000 0.846
O 0.000 0.000 3.877
O 0.000 2.114 0.674
O 0.000 0.000 7.745


Record 7
20
Lattice="5.359 0.000 0.000 0.000 5.397 0.000 -5.314 0.000 8.059" Properties=species:S:1:pos:R:3 comment="CaLaMn2O6 PBE with a Hubbard U relaxed" relative_energy_ev_per_atom=0.0117 energy_corrected_mp2020_ev_per_atom=-8.26 formation_energy_kj_per_mol_fu=-2666 crystal_system=monoclinic pbc="T T T"
Ca 0.000 1.146 0.000
Ca -2.657 4.251 4.029
La -0.065 1.507 4.021
La -2.722 3.889 8.050
Mn -2.695 1.351 6.042
Mn -0.038 4.046 2.013
Mn 2.645 1.347 2.005
Mn -0.012 4.049 6.035
O -1.185 0.202 2.286
O -3.842 5.194 6.316
O 1.092 2.479 1.689
O -1.565 2.918 5.719
O -1.153 0.194 5.756
O 1.504 5.203 1.727
O 3.022 1.406 0.094
O 0.365 3.991 4.123
O 2.311 1.269 3.926
O -0.345 4.128 7.956
O 1.108 2.493 6.374
O 3.765 2.904 2.344


Record 8
40
Lattice="7.793 0.000 0.000 0.000 5.494 5.484 0.000 -5.494 5.484" Properties=species:S:1:pos:R:3 comment="BaSr7Co6Cu2O24 PBE with a Hubbard U relaxed" energy_corrected_mp2020_ev_per_atom=-6.48 formation_energy_kj_per_mol_fu=-7334 crystal_system=orthorhombic pbc="T T T"
Ba 0.000 0.000 0.000
Sr 0.000 2.740 8.228
Sr 0.000 -2.740 8.228
Sr 0.000 0.000 5.497
Sr 3.897 0.000 10.965
Sr 3.897 2.738 8.230
Sr 3.897 -2.738 8.230
Sr 3.897 0.000 5.499
Co 1.957 -2.733 5.490
Co 1.957 2.733 5.490
Co 1.961 0.000 2.758
Co 5.832 0.000 2.758
Co 5.836 -2.733 5.490
Co 5.836 2.733 5.490
Cu 1.955 0.000 8.228
Cu 5.839 0.000 8.228
O 0.000 0.000 2.785
O 0.000 -2.694 5.481
O 0.000 0.000 8.152
O 0.000 2.694 5.481
O 1.958 -1.348 4.106
O 1.955 -1.413 6.814
O 1.958 1.348 4.106
O 1.955 1.413 6.814
O 1.982 -1.378 1.420
O 1.982 1.378 1.420
O 1.988 -4.045 4.139
O 1.988 4.045 4.139
O 3.897 0.000 2.763
O 3.897 -2.734 5.491
O 3.897 2.734 5.491
O 3.897 0.000 8.217
O 5.806 -4.045 4.139
O 5.806 4.045 4.139
O 5.811 -1.378 1.420
O 5.811 1.378 1.420
O 5.835 -1.348 4.106
O 5.838 -1.413 6.814
O 5.835 1.348 4.106
O 5.838 1.413 6.814


Record 9
68
Lattice="12.455 0.000 0.000 0.000 7.784 0.000 -2.610 0.000 11.073" Properties=species:S:1:pos:R:3 comment="Ba2YV3O11 PBE with a Hubbard U relaxed" energy_corrected_mp2020_ev_per_atom=-8.41 formation_energy_kj_per_mol_fu=-4922 crystal_system=monoclinic pbc="T T T"
Ba -0.343 1.926 4.311
Ba -1.648 1.966 9.847
Ba 0.914 5.639 10.436
Ba 2.219 6.038 4.900
Ba 7.626 1.747 6.173
Ba 8.931 2.146 0.637
Ba 11.493 5.818 1.226
Ba 10.188 5.858 6.763
Y 5.630 0.010 2.394
Y 4.325 3.882 7.931
Y 5.520 3.902 3.142
Y 4.215 7.774 8.679
V 1.852 0.152 1.913
V 0.547 3.740 7.449
V 0.595 0.148 7.441
V 1.900 3.744 1.905
V 2.518 1.902 10.816
V 3.823 1.991 5.280
V 6.023 5.794 5.794
V 7.327 5.883 0.257
V 7.946 4.040 9.168
V 9.251 7.636 3.632
V 9.298 4.044 3.624
V 7.994 7.633 9.161
O -0.638 4.360 8.515
O 0.667 7.316 2.978
O 1.323 4.387 0.432
O 0.018 7.289 5.969
O 0.162 4.323 5.903
O 1.467 7.354 0.367
O 0.883 4.346 3.122
O -0.422 7.331 8.658
O 1.615 1.950 1.848
O 0.310 1.942 7.384
O 2.403 1.118 4.950
O 1.098 2.774 10.486
O 2.115 4.302 7.934
O 3.420 7.374 2.398
O 3.530 4.269 2.170
O 2.225 7.408 7.707
O 2.245 0.198 10.803
O 3.550 3.694 5.266
O 5.081 1.721 4.038
O 3.776 2.171 9.574
O 4.441 1.689 6.927
O 5.746 2.203 1.391
O 4.100 5.581 9.682
O 5.404 6.095 4.146
O 6.069 5.613 1.499
O 4.764 6.063 7.036
O 6.295 4.090 5.807
O 7.600 7.586 0.271
O 7.620 0.377 3.366
O 6.315 3.515 8.903
O 6.425 0.410 8.676
O 7.730 3.482 3.139
O 8.747 5.010 0.587
O 7.442 6.666 6.124
O 9.535 5.842 3.689
O 8.230 5.835 9.226
O 10.267 0.453 2.415
O 8.962 3.439 7.952
O 8.378 0.431 10.707
O 9.683 3.462 5.170
O 9.827 0.495 5.104
O 8.522 3.397 10.641
O 9.178 0.468 8.095
O 10.483 3.424 2.559


Record 10
18
Lattice="-3.713 3.811 5.368 3.713 -3.811 5.368 3.713 3.811 -5.368" Properties=species:S:1:pos:R:3 comment="CsVFeF6 PBE with a Hubbard U relaxed" energy_corrected_mp2020_ev_per_atom=-6.34 formation_energy_kj_per_mol_fu=-2619 crystal_system=orthorhombic pbc="T T T"
Cs 0.000 1.905 1.331
Cs 3.713 1.905 4.038
V 3.713 0.000 0.000
V 0.000 0.000 5.368
Fe 1.857 1.905 -2.684
Fe 1.857 -1.905 2.684
F 2.308 -0.357 1.302
F 5.118 -0.357 1.302
F 3.713 -1.905 3.489
F 3.713 1.905 0.712
F 2.308 3.454 -1.302
F 1.405 -0.357 4.067
F 2.308 4.167 1.302
F 1.405 0.357 6.670
F 0.000 1.905 4.656
F 0.000 5.716 1.879
F -1.405 4.167 4.067
F 1.405 4.167 4.067


Record 11
18
Lattice="-3.466 3.603 5.040 3.466 -3.603 5.040 3.466 3.603 -5.040" Properties=species:S:1:pos:R:3 comment="CrCoNF6 PBE with a Hubbard U relaxed" energy_corrected_mp2020_ev_per_atom=-5.56 formation_energy_kj_per_mol_fu=-1298 crystal_system=orthorhombic pbc="T T T"
Cr 0.000 0.000 0.000
Cr 0.000 3.603 0.000
Co -1.733 1.801 2.520
Co 1.733 1.801 2.520
N 0.000 1.801 1.276
N 3.466 1.801 3.764
F 1.501 0.189 1.259
F 5.431 0.189 1.259
F 3.466 -1.801 4.145
F 1.501 3.792 -1.259
F 1.965 0.189 3.781
F 3.466 1.801 1.544
F 0.000 1.801 3.496
F 1.501 3.414 1.259
F 1.965 -0.189 6.299
F 0.000 5.404 0.895
F -1.965 3.414 3.781
F 1.965 3.414 3.781


Record 12
14
Lattice="3.897 0.000 0.000 0.000 3.897 0.000 0.000 0.000 11.647" Properties=species:S:1:pos:R:3 comment="Ba2AlCr3O8 PBE with a Hubbard U relaxed" energy_corrected_mp2020_ev_per_atom=-7.87 formation_energy_kj_per_mol_fu=-3287 crystal_system=tetragonal pbc="T T T"
Ba 0.000 0.000 1.942
Ba 0.000 0.000 9.705
Al 0.000 0.000 5.823
Cr 1.949 1.949 0.000
Cr 1.949 1.949 4.110
Cr 1.949 1.949 7.537
O 0.000 1.949 0.000
O 0.000 1.949 4.569
O 0.000 1.949 7.078
O 1.949 0.000 0.000
O 1.949 0.000 4.569
O 1.949 0.000 7.078
O 1.949 1.949 2.195
O 1.949 1.949 9.451